! Na6MgTa5Si6P3O36 (PBE, optimized geometry); values from VASP
! Spin magnetization (μB/atom): 0.000
! Energy of formation from the pure elements (kJ per mole of atoms): -294.7
! Space-group type: Cc
&SYSTEM
  ibrav = 0, nat = 114, ntyp = 6
/
ATOMIC_SPECIES
Na 22.99 Na.upf
O 16.00 O.upf
Ta 180.95 Ta.upf
Mg 24.30 Mg.upf
P 30.97 P.upf
Si 28.09 Si.upf
ATOMIC_POSITIONS crystal
Na 0.009 0.998 0.499
O 0.833 0.319 0.249
Na 0.671 0.323 0.331
Ta 0.664 0.337 0.978
O 0.802 0.830 0.196
Mg 0.671 0.331 0.684
P 0.284 0.287 0.751
O 0.813 0.835 0.908
P 0.662 0.044 0.084
Na 0.677 0.329 0.831
O 0.136 0.638 0.357
O 0.503 0.638 0.857
O 0.034 0.833 0.696
Si 0.335 0.379 0.417
O 0.167 0.966 0.196
O 0.178 0.480 0.256
O 0.833 0.017 0.806
P 0.956 0.338 0.584
O 0.352 0.851 0.573
Si 0.954 0.622 0.086
O 0.464 0.310 0.747
Na 0.002 0.991 0.999
O 0.690 0.536 0.247
O 0.362 0.497 0.357
O 0.492 0.111 0.644
O 0.139 0.501 0.860
O 0.508 0.859 0.074
Si 0.378 0.046 0.586
O 0.362 0.864 0.857
O 0.501 0.654 0.575
O 0.529 0.696 0.973
O 0.889 0.508 0.144
O 0.829 0.807 0.305
Na 0.633 0.625 0.743
Si 0.621 0.665 0.917
Na 0.321 0.654 0.664
O 0.499 0.861 0.360
O 0.184 0.026 0.591
Si 0.043 0.665 0.417
Ta 0.002 0.000 0.144
Na 0.346 0.679 0.164
O 0.697 0.528 0.528
Si 0.621 0.958 0.417
O 0.506 0.360 0.424
Ta 0.000 0.998 0.644
O 0.472 0.303 0.028
O 0.852 0.356 0.925
O 0.640 0.494 0.924
O 0.802 0.969 0.692
O 0.028 0.190 0.908
O 0.855 0.494 0.425
O 0.838 0.537 0.746
P 0.287 0.000 0.251
O 0.149 0.648 0.073
Si 0.384 0.337 0.087
Si 0.712 0.008 0.750
O 0.346 0.499 0.075
O 0.304 0.471 0.473
O 0.983 0.167 0.306
O 0.881 0.367 0.640
Na 0.026 0.339 0.085
O 0.633 0.119 0.140
O 0.681 0.167 0.749
O 0.474 0.167 0.527
O 0.974 0.816 0.091
O 0.168 0.696 0.472
O 0.702 0.161 0.029
Na 0.375 0.367 0.243
O 0.506 0.145 0.925
Ta 0.997 0.004 0.357
O 0.463 0.162 0.246
P 0.000 0.713 0.751
Si 0.042 0.379 0.917
O 0.164 0.975 0.907
O 0.833 0.526 0.027
O 0.839 0.298 0.529
Mg 0.669 0.329 0.184
Ta 0.663 0.336 0.478
Na 0.381 0.015 0.744
Si 0.663 0.616 0.587
O 0.170 0.704 0.756
O 0.025 0.836 0.407
O 0.031 0.198 0.192
P 0.713 0.716 0.251
O 0.170 0.198 0.696
Ta 0.333 0.667 0.815
O 0.141 0.492 0.574
O 0.810 0.972 0.408
O 0.520 0.822 0.756
Na 0.661 0.974 0.585
Si 0.335 0.957 0.917
Na 0.985 0.619 0.244
Ta 0.996 0.003 0.857
O 0.644 0.148 0.425
O 0.296 0.830 0.256
O 0.301 0.470 0.756
O 0.835 0.819 0.591
Si 0.992 0.288 0.250
O 0.163 0.467 0.975
O 0.192 0.019 0.305
Ta 0.334 0.668 0.020
O 0.972 0.169 0.591
O 0.831 0.028 0.091
O 0.981 0.808 0.805
O 0.181 0.165 0.091
Ta 0.333 0.667 0.315
O 0.634 0.515 0.647
O 0.193 0.171 0.805
O 0.533 0.837 0.475
O 0.304 0.832 0.972
O 0.530 0.699 0.256
O 0.485 0.366 0.147
O 0.165 0.187 0.408
Ta 0.332 0.666 0.520
CELL_PARAMETERS angstrom
-2.432 1.809 -8.409
1.816 -8.408 2.430
-21.755 -3.103 5.664


! Na4MgTaSi2PO12 (PBE, optimized geometry); values from VASP
! Spin magnetization (μB/atom): 0.000
! Energy of formation from the pure elements (kJ per mole of atoms): -277.1
&SYSTEM
  ibrav = 0, nat = 126, ntyp = 6
/
ATOMIC_SPECIES
Mg 24.30 Mg.upf
Na 22.99 Na.upf
O 16.00 O.upf
Si 28.09 Si.upf
P 30.97 P.upf
Ta 180.95 Ta.upf
ATOMIC_POSITIONS crystal
Mg 0.995 0.996 0.351
Na 0.973 0.616 0.245
O 0.845 0.817 0.588
Si 0.629 0.962 0.420
O 0.856 0.531 0.744
O 0.841 0.039 0.088
P 0.289 0.998 0.252
Si 0.706 0.000 0.754
Na 0.316 0.351 0.582
Na 0.304 0.955 0.075
Si 0.000 0.294 0.254
O 0.190 0.198 0.410
Ta 0.666 0.335 0.480
Na 0.717 0.693 0.412
O 0.832 0.531 0.026
P 0.002 0.711 0.752
O 0.837 0.302 0.528
Na 0.649 0.684 0.082
O 0.628 0.492 0.921
O 0.503 0.636 0.862
O 0.337 0.846 0.580
Na 0.660 0.324 0.825
O 0.366 0.865 0.859
O 0.820 0.996 0.414
O 0.802 0.834 0.193
O 0.154 0.663 0.080
O 0.877 0.358 0.642
Ta 0.332 0.668 0.814
O 0.544 0.692 0.975
O 0.135 0.477 0.577
Ta 0.998 0.001 0.647
O 0.967 0.817 0.089
Na 0.009 0.007 0.992
Si 0.373 0.334 0.087
Mg 0.004 0.005 0.851
O 0.148 0.685 0.479
O 0.501 0.648 0.580
O 0.168 0.981 0.913
P 0.336 0.378 0.419
Na 0.993 0.991 0.492
O 0.975 0.789 0.809
O 0.469 0.144 0.244
O 0.183 0.033 0.589
O 0.834 0.315 0.246
Si 0.705 0.704 0.253
O 0.815 0.019 0.812
O 0.634 0.150 0.422
O 0.961 0.159 0.588
Mg 0.661 0.329 0.685
O 0.820 0.789 0.311
Na 0.384 0.027 0.745
O 0.670 0.513 0.247
O 0.179 0.484 0.255
O 0.135 0.634 0.359
Na 0.045 0.696 0.575
O 0.487 0.122 0.645
O 0.482 0.352 0.145
Na 0.378 0.363 0.242
O 0.315 0.852 0.979
O 0.642 0.123 0.142
Na 0.970 0.288 0.409
Si 0.962 0.629 0.087
O 0.508 0.372 0.421
O 0.308 0.456 0.475
O 0.544 0.847 0.478
O 0.211 0.180 0.811
P 0.622 0.664 0.919
O 0.517 0.700 0.255
Na 0.649 0.017 0.249
O 0.031 0.830 0.695
Na 0.051 0.360 0.079
Na 0.676 0.340 0.325
O 0.019 0.832 0.413
O 0.878 0.513 0.145
Si 0.296 0.295 0.753
O 0.648 0.518 0.645
Na 0.343 0.673 0.658
Na 0.640 0.949 0.579
O 0.004 0.180 0.914
Si 0.371 0.038 0.587
Si 0.666 0.627 0.587
O 0.174 0.705 0.755
O 0.685 0.166 0.746
Na 0.327 0.657 0.158
Ta 0.332 0.668 0.314
Na 0.983 0.351 0.749
Mg 0.337 0.672 0.518
Na 0.982 0.684 0.916
Mg 0.671 0.339 0.185
Na 0.712 0.030 0.909
O 0.300 0.483 0.755
Mg 0.328 0.663 0.018
O 0.512 0.151 0.922
O 0.295 0.826 0.255
O 0.153 0.456 0.978
O 0.487 0.330 0.747
O 0.211 0.025 0.309
O 0.364 0.497 0.362
Ta 0.999 0.002 0.147
O 0.523 0.865 0.077
O 0.802 0.968 0.693
O 0.802 0.810 0.910
Si 0.040 0.667 0.420
O 0.352 0.499 0.080
O 0.516 0.821 0.755
P 0.669 0.044 0.086
Na 0.637 0.622 0.742
Si 0.038 0.371 0.920
P 0.956 0.331 0.586
O 0.468 0.301 0.026
O 0.849 0.488 0.422
O 0.850 0.366 0.922
O 0.170 0.969 0.195
O 0.032 0.198 0.193
O 0.136 0.501 0.859
Na 0.307 0.283 0.912
Na 0.316 0.018 0.416
Si 0.333 0.960 0.920
O 0.699 0.532 0.526
O 0.698 0.163 0.028
O 0.469 0.168 0.526
O 0.981 0.185 0.312
O 0.166 0.198 0.693
O 0.183 0.155 0.088
O 0.499 0.864 0.359
Ta 0.665 0.334 0.980
CELL_PARAMETERS angstrom
9.095 0.025 -0.008
-4.526 7.889 0.008
-0.019 0.011 22.135


! Na5Mg2Ta2SiP5O24 (PBE, optimized geometry); values from VASP
! Spin magnetization (μB/atom): 0.000
! Energy of formation from the pure elements (kJ per mole of atoms): -277.9
! Space-group type: P1
&SYSTEM
  ibrav = 0, nat = 117, ntyp = 6
/
ATOMIC_SPECIES
Mg 24.30 Mg.upf
P 30.97 P.upf
Na 22.99 Na.upf
O 16.00 O.upf
Ta 180.95 Ta.upf
Si 28.09 Si.upf
ATOMIC_POSITIONS crystal
Mg 0.998 0.010 0.850
P 0.379 0.333 0.085
Na 0.653 0.688 0.078
O 0.361 0.846 0.575
Na 0.670 0.328 0.832
O 0.150 0.645 0.078
O 0.770 0.964 0.685
O 0.505 0.833 0.760
O 0.140 0.456 0.978
Na 0.623 0.002 0.251
P 0.338 0.378 0.414
O 0.966 0.814 0.090
P 0.044 0.371 0.920
O 0.463 0.166 0.526
Na 0.024 0.708 0.588
Ta 0.335 0.670 0.515
O 0.161 0.692 0.470
P 0.958 0.334 0.580
Na 0.655 0.335 0.340
O 0.635 0.492 0.922
O 0.674 0.168 0.742
P 0.668 0.622 0.580
Na 0.298 0.312 0.586
O 0.812 0.813 0.913
O 0.020 0.194 0.912
O 0.842 0.039 0.090
O 0.838 0.520 0.741
O 0.832 0.294 0.250
O 0.195 0.228 0.690
O 0.192 0.019 0.306
Na 0.327 0.666 0.164
P 0.332 0.959 0.918
O 0.143 0.505 0.576
O 0.640 0.119 0.144
Si 0.713 0.999 0.749
O 0.192 0.168 0.090
Ta 0.003 0.003 0.358
O 0.470 0.162 0.248
O 0.539 0.710 0.252
P 0.662 0.041 0.087
O 0.985 0.169 0.304
O 0.171 0.983 0.196
O 0.521 0.857 0.077
Ta 0.664 0.332 0.980
Na 0.011 0.012 0.988
O 0.694 0.165 0.032
O 0.818 0.806 0.588
O 0.875 0.512 0.146
P 0.627 0.668 0.921
O 0.175 0.006 0.590
O 0.972 0.779 0.808
O 0.858 0.364 0.924
O 0.489 0.360 0.139
O 0.161 0.469 0.252
O 0.808 0.829 0.194
P 0.292 0.294 0.749
O 0.503 0.140 0.923
Na 0.040 0.351 0.079
O 0.827 0.528 0.027
O 0.521 0.875 0.356
Na 0.998 0.618 0.249
P 0.997 0.704 0.752
P 0.624 0.962 0.412
O 0.493 0.633 0.575
O 0.352 0.488 0.076
O 0.497 0.130 0.642
O 0.125 0.648 0.357
Ta 0.339 0.667 0.815
O 0.306 0.845 0.971
Mg 0.996 0.998 0.653
O 0.162 0.678 0.760
O 0.134 0.498 0.866
O 0.351 0.485 0.360
P 0.292 0.003 0.252
O 0.633 0.505 0.637
O 0.484 0.324 0.740
O 0.988 0.182 0.589
Na 0.981 0.680 0.912
O 0.306 0.463 0.473
Mg 0.331 0.673 0.018
O 0.359 0.871 0.860
Ta 0.667 0.328 0.686
Na 0.007 0.001 0.506
Mg 0.662 0.331 0.479
O 0.846 0.308 0.527
O 0.221 0.173 0.802
O 0.173 0.979 0.909
Na 0.681 0.978 0.591
Na 0.349 0.000 0.751
O 0.700 0.541 0.527
O 0.507 0.645 0.865
O 0.654 0.140 0.422
O 0.316 0.478 0.761
O 0.297 0.835 0.252
O 0.873 0.371 0.637
Mg 0.334 0.660 0.314
O 0.860 0.511 0.423
O 0.163 0.194 0.410
Si 0.370 0.041 0.580
O 0.532 0.839 0.469
Ta 0.004 0.998 0.145
O 0.490 0.351 0.421
O 0.463 0.299 0.028
P 0.710 0.712 0.251
O 0.042 0.816 0.695
P 0.037 0.662 0.412
O 0.019 0.195 0.193
O 0.705 0.540 0.249
O 0.031 0.837 0.411
P 0.003 0.290 0.250
Na 0.339 0.660 0.670
O 0.834 0.814 0.305
O 0.823 0.035 0.808
Si 0.963 0.623 0.087
O 0.544 0.684 0.977
O 0.806 0.968 0.410
Mg 0.664 0.335 0.187
CELL_PARAMETERS angstrom
8.889 -0.001 -0.002
-4.445 7.755 0.012
-0.004 0.033 22.388


Q: energy of formation from the pure elements of number 2 (Na4MgTaSi2PO12)?
A: -277.1 kJ per mole of atoms